# CaV6O23

Crystalline CaV6O23 at its relaxed geometry (GGA+U, the Materials Project).

Geometry as POSCAR:
```
CaV6O23
1.0
10.8257 0.0000 0.0000
0.0000 3.6762 0.0000
-0.7308 0.0000 12.5595
Ca V O
1 6 23
Direct
0.0000 0.0000 0.0000 Ca
0.4130 0.5000 0.7086 V
0.4473 0.0000 0.3148 V
0.4981 0.5000 0.9679 V
0.5700 0.0000 0.5510 V
0.6283 0.5000 0.1996 V
0.6450 0.0000 0.8009 V
0.1016 0.5000 0.0803 O
0.1873 0.0000 0.9341 O
0.2179 0.0000 0.4393 O
0.2805 0.5000 0.6437 O
0.3076 0.0000 0.2616 O
0.3846 0.5000 0.8441 O
0.4002 0.5000 0.0599 O
0.4317 0.0000 0.4592 O
0.4765 0.0000 0.7124 O
0.4991 0.5000 0.3105 O
0.5375 0.0000 0.9314 O
0.5422 0.5000 0.5898 O
0.5734 0.0000 0.2089 O
0.6357 0.5000 0.8233 O
0.6464 0.5000 0.0592 O
0.6778 0.0000 0.4670 O
0.7033 0.0000 0.6802 O
0.7660 0.5000 0.2558 O
0.8148 0.0000 0.8810 O
0.9018 0.5000 0.5843 O
0.9084 0.0000 0.4825 O
0.9138 0.0000 0.8220 O
0.9805 0.5000 0.1038 O
```

Summary:
**Space-group type**: Pm (6)
**E (MP2020)**: -6.820 eV per atom
**Crystal system**: monoclinic
**Total magnetization**: 10.001 μB per cell
**Raw total energy**: -190.69 eV per cell

# CaV5O7

Crystalline CaV5O7 at its relaxed geometry (GGA+U, the Materials Project).

Geometry as POSCAR:
```
CaV5O7
1.0
1.5570 -5.0728 0.0000
1.5570 5.0728 0.0000
0.0000 0.0000 18.0140
Ca V O
2 10 14
Direct
0.2100 0.7900 0.5000 Ca
0.7900 0.2100 0.0000 Ca
0.0031 0.9969 0.7472 V
0.2739 0.7261 0.1783 V
0.2751 0.7249 0.8237 V
0.4601 0.5399 0.3990 V
0.4596 0.5404 0.5981 V
0.5404 0.4596 0.0981 V
0.5399 0.4601 0.8990 V
0.7249 0.2751 0.3237 V
0.7261 0.2739 0.6783 V
0.9969 0.0031 0.2472 V
0.0856 0.9144 0.3582 O
0.0873 0.9127 0.6368 O
0.1665 0.8335 0.9222 O
0.1685 0.8315 0.0782 O
0.3681 0.6319 0.2905 O
0.3696 0.6304 0.7097 O
0.4602 0.5398 0.9986 O
0.5398 0.4602 0.4986 O
0.6304 0.3696 0.2097 O
0.6319 0.3681 0.7905 O
0.8315 0.1685 0.5782 O
0.8335 0.1665 0.4222 O
0.9127 0.0873 0.1368 O
0.9144 0.0856 0.8582 O
```

Summary:
**Space-group type**: Cmc2_1 (36)
**Energy above the most stable polymorph in this dataset**: 0.163 eV per formula unit
**E (MP2020)**: -8.761 eV per atom
**Crystal system**: orthorhombic
**Total magnetization**: 6.055 μB per cell
**Raw total energy**: -201.16 eV per cell

# Ca2V3O8

Crystalline Ca2V3O8 at its relaxed geometry (GGA+U, the Materials Project).

Geometry as POSCAR:
```
Ca2V3O8
1.0
5.6354 -3.1228 0.0000
5.6354 3.1228 0.0000
-1.7903 0.0000 4.6367
Ca V O
2 3 8
Direct
0.2239 0.2239 0.1624 Ca
0.7761 0.7761 0.8376 Ca
0.2312 0.7688 0.5000 V
0.5000 0.5000 0.0000 V
0.7688 0.2312 0.5000 V
0.1035 0.1035 0.4550 O
0.1761 0.6144 0.1117 O
0.3856 0.8239 0.8883 O
0.4007 0.4007 0.6050 O
0.5993 0.5993 0.3950 O
0.6144 0.1761 0.1117 O
0.8239 0.3856 0.8883 O
0.8965 0.8965 0.5450 O
```

Summary:
**Space-group type**: C2/m (12)
**Energy above the most stable polymorph in this dataset**: 0.000 eV per formula unit
**E (MP2020)**: -8.312 eV per atom
**Crystal system**: monoclinic
**Raw total energy**: -97.46 eV per cell

# CaV4O15

Crystalline CaV4O15 at its relaxed geometry (GGA+U, the Materials Project).

Geometry as POSCAR:
```
CaV4O15
1.0
6.3156 0.0000 0.0000
1.6102 6.1139 0.0000
0.7070 2.9373 9.0062
Ca V O
1 4 15
Direct
0.0000 0.0000 0.0000 Ca
0.0303 0.9424 0.4205 V
0.0565 0.3773 0.5849 V
0.4481 0.1351 0.4164 V
0.4976 0.5673 0.5576 V
0.0165 0.9417 0.2451 O
0.0454 0.6316 0.9743 O
0.0483 0.2152 0.7595 O
0.0670 0.6587 0.5768 O
0.1159 0.1855 0.4632 O
0.3811 0.3338 0.5432 O
0.3834 0.8489 0.4236 O
0.4385 0.2888 0.2442 O
0.4383 0.8759 0.9772 O
0.4908 0.5780 0.7254 O
0.5797 0.9439 0.0239 O
0.7237 0.0264 0.4684 O
0.7720 0.4770 0.5104 O
0.8119 0.3985 0.0108 O
0.8829 0.5422 0.0589 O
```

Summary:
**Space-group type**: P1 (1)
**E (MP2020)**: -7.108 eV per atom
**Crystal system**: triclinic
**Total magnetization**: 1.999 μB per cell
**Raw total energy**: -135.36 eV per cell

# CaV4O10

Crystalline CaV4O10 at its relaxed geometry (GGA+U, the Materials Project).

Geometry as POSCAR:
```
CaV4O10
1.0
11.3494 0.0000 0.0000
0.0000 1.8572 5.6709
0.0000 -1.8572 5.6709
Ca V O
1 4 10
Direct
0.0000 0.0000 0.0000 Ca
0.1532 0.3016 0.3016 V
0.3509 0.8916 0.8916 V
0.6491 0.8916 0.8916 V
0.8468 0.3016 0.3016 V
0.0000 0.3863 0.3863 O
0.1302 0.1566 0.1566 O
0.1765 0.8598 0.8598 O
0.3208 0.3504 0.3504 O
0.3648 0.0319 0.0319 O
0.5000 0.8339 0.8339 O
0.6352 0.0319 0.0319 O
0.6792 0.3504 0.3504 O
0.8235 0.8598 0.8598 O
0.8698 0.1566 0.1566 O
```

Summary:
**Space-group type**: Amm2 (38)
**Energy above the most stable polymorph in this dataset**: 0.550 eV per formula unit
**E (MP2020)**: -8.384 eV per atom
**Crystal system**: orthorhombic
**Total magnetization**: 2.002 μB per cell
**Raw total energy**: -112.08 eV per cell

# Ca2YVO5

Crystalline Ca2YVO5 at its relaxed geometry (GGA+U, the Materials Project).

Geometry as POSCAR:
```
Ca2YVO5
1.0
-8.0065 2.8590 2.7492
8.0065 -2.8590 2.7492
8.0065 2.8590 -2.7492
Ca Y V O
4 2 2 10
Direct
0.0295 0.0995 0.1290 Ca
0.0295 0.4005 0.4301 Ca
0.9705 0.5995 0.5699 Ca
0.9705 0.9005 0.8710 Ca
0.4215 0.7165 0.2050 Y
0.5115 0.2165 0.7950 Y
0.5253 0.0253 0.5000 V
0.5253 0.5253 0.0000 V
0.0261 0.2937 0.7702 O
0.0261 0.7559 0.2325 O
0.1476 0.8146 0.8330 O
0.4757 0.1867 0.5479 O
0.4757 0.4278 0.7890 O
0.5235 0.2559 0.2298 O
0.5235 0.7937 0.7675 O
0.6388 0.6867 0.2110 O
0.6388 0.9278 0.4521 O
0.9816 0.3146 0.1670 O
```

Summary:
**Space-group type**: Ima2 (46)
**E (MP2020)**: -8.108 eV per atom
**Crystal system**: orthorhombic
**Total magnetization**: 3.988 μB per cell
**Raw total energy**: -135.67 eV per cell

# CaZrV2O8

Crystalline CaZrV2O8 at its relaxed geometry (GGA+U, the Materials Project).

Geometry as POSCAR:
```
CaZrV2O8
1.0
-3.5574 3.5574 3.1183
3.5574 -3.5574 3.1183
3.5574 3.5574 -3.1183
Ca Zr V O
1 1 2 8
Direct
0.0000 0.0000 0.0000 Ca
0.2500 0.7500 0.5000 Zr
0.5000 0.5000 0.0000 V
0.7500 0.2500 0.5000 V
0.3336 0.1368 0.8032 O
0.3336 0.5305 0.1968 O
0.3811 0.0592 0.3219 O
0.4695 0.6664 0.8032 O
0.7373 0.0592 0.6781 O
0.8632 0.6664 0.1968 O
0.9408 0.2627 0.3219 O
0.9408 0.6189 0.6781 O
```

Summary:
**Space-group type**: I-4m2 (119)
**E (MP2020)**: -8.661 eV per atom
**Crystal system**: tetragonal
**Total magnetization**: 0.000 μB per cell
**Raw total energy**: -95.04 eV per cell

# Ca2ZrVO6

Crystalline Ca2ZrVO6 at its relaxed geometry (GGA+U, the Materials Project).

Geometry as POSCAR:
```
Ca2ZrVO6
1.0
0.0000 3.9972 3.9972
3.9972 0.0000 3.9972
3.9972 3.9972 0.0000
Ca Zr V O
2 1 1 6
Direct
0.2500 0.2500 0.2500 Ca
0.7500 0.7500 0.7500 Ca
0.0000 0.0000 0.0000 Zr
0.5000 0.5000 0.5000 V
0.2596 0.2596 0.7404 O
0.2596 0.7404 0.2596 O
0.2596 0.7404 0.7404 O
0.7404 0.2596 0.2596 O
0.7404 0.2596 0.7404 O
0.7404 0.7404 0.2596 O
```

Summary:
**Space-group type**: Fm-3m (225)
**E (MP2020)**: -8.269 eV per atom
**Crystal system**: cubic
**Total magnetization**: 1.000 μB per cell
**Raw total energy**: -76.87 eV per cell

# CaW4O6

Crystalline CaW4O6 at its relaxed geometry (GGA+U, the Materials Project).

Geometry as POSCAR:
```
CaW4O6
1.0
1.6245 -5.3779 0.0000
1.6245 5.3779 0.0000
0.0000 0.0000 16.3760
Ca W O
2 8 12
Direct
0.1743 0.8257 0.7500 Ca
0.8257 0.1743 0.2500 Ca
0.0852 0.9148 0.1354 W
0.0852 0.9148 0.3646 W
0.3518 0.6482 0.0403 W
0.3518 0.6482 0.4597 W
0.6482 0.3518 0.5403 W
0.6482 0.3518 0.9597 W
0.9148 0.0852 0.6354 W
0.9148 0.0852 0.8646 W
0.0000 0.0000 0.0000 O
0.0000 0.0000 0.5000 O
0.1748 0.8252 0.2500 O
0.2803 0.7197 0.6039 O
0.2803 0.7197 0.8961 O
0.4505 0.5495 0.1569 O
0.4505 0.5495 0.3431 O
0.5495 0.4505 0.6569 O
0.5495 0.4505 0.8431 O
0.7197 0.2803 0.1039 O
0.7197 0.2803 0.3961 O
0.8252 0.1748 0.7500 O
```

Summary:
**Space-group type**: Cmcm (63)
**E (MP2020)**: -8.820 eV per atom
**Crystal system**: orthorhombic
**Total magnetization**: 21.051 μB per cell
**Raw total energy**: -150.29 eV per cell

# CaW2O5

Crystalline CaW2O5 at its relaxed geometry (GGA+U, the Materials Project).

Geometry as POSCAR:
```
CaW2O5
1.0
2.1294 -5.4985 0.0000
2.1294 5.4985 0.0000
0.0000 0.0000 11.7675
Ca W O
2 4 10
Direct
0.1000 0.9000 0.7500 Ca
0.9000 0.1000 0.2500 Ca
0.2061 0.7939 0.0954 W
0.2061 0.7939 0.4046 W
0.7939 0.2061 0.5954 W
0.7939 0.2061 0.9046 W
0.0392 0.9608 0.1193 O
0.0392 0.9608 0.3807 O
0.2565 0.7435 0.5734 O
0.2565 0.7435 0.9266 O
0.2971 0.7029 0.2500 O
0.7029 0.2971 0.7500 O
0.7435 0.2565 0.0734 O
0.7435 0.2565 0.4266 O
0.9608 0.0392 0.6193 O
0.9608 0.0392 0.8807 O
```

Summary:
**Space-group type**: Cmcm (63)
**Energy above the most stable polymorph in this dataset**: 1.528 eV per formula unit
**E (MP2020)**: -8.489 eV per atom
**Crystal system**: orthorhombic
**Total magnetization**: 0.000 μB per cell
**Raw total energy**: -111.20 eV per cell

# Ca5W3O14

Crystalline Ca5W3O14 at its relaxed geometry (GGA+U, the Materials Project).

Geometry as POSCAR:
```
Ca5W3O14
1.0
10.5230 0.0000 0.0000
0.0000 10.6567 0.0000
0.0000 0.0000 10.5317
Ca W O
20 12 56
Direct
0.0000 0.0000 0.0000 Ca
0.0000 0.5000 0.5000 Ca
0.2227 0.0042 0.2442 Ca
0.2227 0.4958 0.7442 Ca
0.2425 0.7372 0.9808 Ca
0.2425 0.7628 0.4808 Ca
0.2575 0.2372 0.9808 Ca
0.2575 0.2628 0.4808 Ca
0.2773 0.5042 0.2442 Ca
0.2773 0.9958 0.7442 Ca
0.5000 0.0000 0.5000 Ca
0.5000 0.5000 0.0000 Ca
0.7227 0.0042 0.2558 Ca
0.7227 0.4958 0.7558 Ca
0.7425 0.7372 0.5192 Ca
0.7425 0.7628 0.0192 Ca
0.7575 0.2372 0.5192 Ca
0.7575 0.2628 0.0192 Ca
0.7773 0.5042 0.2558 Ca
0.7773 0.9958 0.7558 Ca
0.0000 0.0000 0.5000 W
0.0000 0.5000 0.0000 W
0.0024 0.2467 0.7557 W
0.0024 0.2533 0.2557 W
0.4976 0.7467 0.7557 W
0.4976 0.7533 0.2557 W
0.5000 0.0000 0.0000 W
0.5000 0.5000 0.5000 W
0.5024 0.2467 0.7443 W
0.5024 0.2533 0.2443 W
0.9976 0.7467 0.7443 W
0.9976 0.7533 0.2443 W
0.0515 0.6212 0.8711 O
0.0515 0.8788 0.3711 O
0.0633 0.1323 0.3856 O
0.0633 0.3677 0.8856 O
0.1105 0.6608 0.6242 O
0.1105 0.8392 0.1242 O
0.1118 0.1694 0.1338 O
0.1118 0.3306 0.6338 O
0.1317 0.6510 0.3117 O
0.1317 0.8490 0.8117 O
0.1335 0.1369 0.8233 O
0.1335 0.3631 0.3233 O
0.1686 0.5150 0.0575 O
0.1686 0.9850 0.5575 O
0.3314 0.0150 0.0575 O
0.3314 0.4850 0.5575 O
0.3665 0.6369 0.8233 O
0.3665 0.8631 0.3233 O
0.3683 0.1510 0.3117 O
0.3683 0.3490 0.8117 O
0.3882 0.6694 0.1338 O
0.3882 0.8306 0.6338 O
0.3895 0.1608 0.6242 O
0.3895 0.3392 0.1242 O
0.4367 0.6323 0.3856 O
0.4367 0.8677 0.8856 O
0.4485 0.1212 0.8711 O
0.4485 0.3788 0.3711 O
0.5515 0.6212 0.6289 O
0.5515 0.8788 0.1289 O
0.5633 0.1323 0.1144 O
0.5633 0.3677 0.6144 O
0.6105 0.6608 0.8758 O
0.6105 0.8392 0.3758 O
0.6118 0.1694 0.3662 O
0.6118 0.3306 0.8662 O
0.6317 0.6510 0.1883 O
0.6317 0.8490 0.6883 O
0.6335 0.1369 0.6767 O
0.6335 0.3631 0.1767 O
0.6686 0.5150 0.4425 O
0.6686 0.9850 0.9425 O
0.8314 0.0150 0.4425 O
0.8314 0.4850 0.9425 O
0.8665 0.6369 0.6767 O
0.8665 0.8631 0.1767 O
0.8683 0.1510 0.1883 O
0.8683 0.3490 0.6883 O
0.8882 0.6694 0.3662 O
0.8882 0.8306 0.8662 O
0.8895 0.1608 0.8758 O
0.8895 0.3392 0.3758 O
0.9367 0.6323 0.1144 O
0.9367 0.8677 0.6144 O
0.9485 0.1212 0.6289 O
0.9485 0.3788 0.1289 O
```

Summary:
**Space-group type**: Pbca (61)
**E (MP2020)**: -8.230 eV per atom
**Crystal system**: orthorhombic
**Total magnetization**: 0.008 μB per cell
**Raw total energy**: -632.53 eV per cell

# Ca2WO5

Crystalline Ca2WO5 at its relaxed geometry (GGA+U, the Materials Project).

Geometry as POSCAR:
```
Ca2WO5
1.0
-8.2363 2.5083 2.8409
8.2363 -2.5083 2.8409
8.2363 2.5083 -2.8409
Ca W O
4 2 10
Direct
0.0728 0.1559 0.2287 Ca
0.0728 0.3441 0.4168 Ca
0.9272 0.6559 0.5832 Ca
0.9272 0.8441 0.7713 Ca
0.5454 0.0454 0.5000 W
0.5454 0.5454 0.0000 W
0.0372 0.0119 0.5253 O
0.0643 0.2585 0.7227 O
0.0643 0.8416 0.3058 O
0.4477 0.6984 0.9556 O
0.4477 0.9922 0.2493 O
0.4866 0.5119 0.4747 O
0.5358 0.3416 0.2773 O
0.5358 0.7585 0.6942 O
0.7428 0.1984 0.7507 O
0.7428 0.4922 0.0444 O
```

Summary:
**Space-group type**: Ima2 (46)
**Energy above the most stable polymorph in this dataset**: 1.944 eV per formula unit
**E (MP2020)**: -7.900 eV per atom
**Crystal system**: orthorhombic
**Total magnetization**: 0.001 μB per cell
**Raw total energy**: -110.65 eV per cell

no.,DFT formation energy (eV/atom)
1,-1.143
2,-2.448
3,-2.863
4,-1.480
5,-2.529
6,-3.186
7,-2.969
8,-3.136
9,-1.227
10,-1.906
11,-2.859
12,-2.686